# 1
{
  "formula": "NiBiPO5",
  "functional": "PBE+U",
  "state": "optimized geometry",
  "lattice": [[5.2486, 0.0000, 0.0000], [0.0000, 11.3137, 0.0000], [-3.0588, 0.0000, 6.9685]],
  "species": ["Ni", "Ni", "Ni", "Ni", "Bi", "Bi", "Bi", "Bi", "P", "P", "P", "P", "O", "O", "O", "O", "O", "O", "O", "O", "O", "O", "O", "O", "O", "O", "O", "O", "O", "O", "O", "O"],
  "fractional_positions": [[0.0547, 0.0790, 0.1853], [0.0547, 0.4210, 0.6853], [0.9453, 0.5790, 0.3147], [0.9453, 0.9210, 0.8147], [0.4249, 0.1014, 0.8106], [0.4249, 0.3986, 0.3106], [0.5751, 0.6014, 0.6894], [0.5751, 0.8986, 0.1894], [0.3069, 0.6519, 0.0241], [0.3069, 0.8481, 0.5241], [0.6931, 0.1519, 0.4759], [0.6931, 0.3481, 0.9759], [0.1779, 0.7217, 0.4875], [0.1779, 0.7783, 0.9875], [0.2087, 0.5815, 0.1609], [0.2087, 0.9185, 0.6609], [0.2253, 0.5826, 0.8327], [0.2253, 0.9174, 0.3327], [0.2579, 0.0252, 0.0151], [0.2579, 0.4748, 0.5151], [0.3720, 0.1728, 0.3845], [0.3720, 0.3272, 0.8845], [0.6280, 0.6728, 0.1155], [0.6280, 0.8272, 0.6155], [0.7421, 0.5252, 0.4849], [0.7421, 0.9748, 0.9849], [0.7747, 0.0826, 0.6673], [0.7747, 0.4174, 0.1673], [0.7913, 0.0815, 0.3391], [0.7913, 0.4185, 0.8391], [0.8221, 0.2217, 0.0125], [0.8221, 0.2783, 0.5125]],
  "sg": "P2_1/c, No. 14",
  "e_form_mev_per_atom": -2118,
  "dft_energy_ev_per_cell": -203.168
}

=====

# 2
{
  "formula": "Ti3NiBi2Pb2O12",
  "functional": "PBE+U",
  "state": "optimized geometry",
  "lattice": [[1.4093, 5.4360, 1.0040], [-7.1532, 7.6988, -15.9599], [-8.5582, 1.2851, 4.7009]],
  "species": ["Ni", "Ni", "Ni", "Ni", "O", "O", "O", "O", "O", "O", "O", "O", "O", "O", "O", "O", "O", "O", "O", "O", "O", "O", "O", "O", "O", "O", "O", "O", "O", "O", "O", "O", "O", "O", "O", "O", "O", "O", "O", "O", "O", "O", "O", "O", "O", "O", "O", "O", "O", "O", "O", "O", "Bi", "Bi", "Bi", "Bi", "Bi", "Bi", "Bi", "Bi", "Ti", "Ti", "Ti", "Ti", "Ti", "Ti", "Ti", "Ti", "Ti", "Ti", "Ti", "Ti", "Pb", "Pb", "Pb", "Pb", "Pb", "Pb", "Pb", "Pb"],
  "fractional_positions": [[0.7760, 0.4239, 0.3879], [0.5258, 0.9239, 0.1379], [0.2759, 0.4239, 0.8879], [0.0259, 0.9239, 0.6379], [0.8093, 0.8585, 0.5216], [0.3012, 0.3500, 0.0321], [0.6907, 0.1071, 0.9153], [0.3720, 0.7296, 0.8504], [0.4340, 0.6063, 0.1667], [0.0509, 0.8499, 0.7821], [0.1233, 0.2286, 0.1031], [0.6258, 0.7312, 0.5987], [0.8720, 0.7296, 0.3504], [0.5565, 0.3579, 0.7754], [0.8735, 0.7285, 0.8532], [0.1907, 0.1071, 0.4153], [0.8759, 0.2312, 0.8486], [0.1258, 0.7312, 0.0987], [0.5509, 0.8499, 0.2821], [0.7259, 0.9793, 0.7176], [0.6840, 0.1063, 0.4167], [0.2259, 0.9793, 0.2176], [0.3759, 0.2312, 0.3486], [0.4365, 0.1025, 0.6580], [0.4406, 0.6071, 0.6654], [0.7744, 0.9790, 0.2203], [0.6218, 0.2296, 0.1003], [0.6866, 0.6025, 0.9082], [0.3066, 0.8579, 0.5254], [0.1840, 0.1063, 0.9167], [0.2564, 0.4813, 0.7142], [0.0064, 0.9813, 0.4642], [0.6233, 0.2285, 0.6031], [0.3735, 0.7285, 0.3531], [0.0594, 0.3585, 0.7717], [0.4759, 0.4793, 0.4677], [0.2744, 0.9790, 0.7203], [0.3093, 0.8585, 0.0216], [0.5594, 0.3585, 0.2717], [0.9339, 0.6064, 0.6668], [0.1866, 0.6025, 0.4082], [0.8012, 0.3500, 0.5321], [0.0244, 0.4790, 0.4704], [0.9407, 0.6071, 0.1654], [0.5244, 0.4790, 0.9704], [0.9364, 0.1025, 0.1580], [0.8066, 0.8579, 0.0254], [0.5064, 0.9813, 0.9642], [0.9759, 0.4793, 0.9677], [0.0566, 0.3579, 0.2755], [0.7564, 0.4813, 0.2143], [0.1218, 0.2296, 0.6002], [0.4825, 0.0028, 0.5386], [0.7324, 0.5029, 0.7887], [0.7983, 0.3925, 0.0690], [0.2324, 0.5029, 0.2887], [0.5483, 0.8925, 0.8189], [0.0483, 0.8926, 0.3189], [0.2983, 0.3925, 0.5689], [0.9825, 0.0028, 0.0386], [0.4571, 0.0606, 0.8442], [0.8309, 0.3082, 0.7021], [0.3309, 0.3082, 0.2021], [0.6421, 0.6851, 0.7706], [0.0808, 0.8082, 0.9521], [0.7071, 0.5606, 0.0943], [0.1420, 0.6851, 0.2706], [0.5808, 0.8082, 0.4521], [0.8920, 0.1850, 0.0205], [0.2070, 0.5606, 0.5943], [0.3920, 0.1851, 0.5205], [0.9571, 0.0606, 0.3442], [0.1700, 0.6284, 0.9437], [0.8534, 0.2558, 0.3730], [0.6699, 0.6284, 0.4437], [0.3532, 0.2558, 0.8730], [0.6032, 0.7557, 0.1230], [0.9199, 0.1284, 0.6934], [0.4199, 0.1284, 0.1934], [0.1032, 0.7557, 0.6231]],
  "e_form_mev_per_atom": -2401,
  "dft_energy_ev_per_cell": -565.117
}

=====

# 3
{
  "formula": "Sr2NiBiO6",
  "functional": "PBE+U",
  "state": "optimized geometry",
  "lattice": [[0.0000, 4.0811, 4.0811], [4.0811, 0.0000, 4.0811], [4.0811, 4.0811, 0.0000]],
  "species": ["Sr", "Sr", "Ni", "Bi", "O", "O", "O", "O", "O", "O"],
  "fractional_positions": [[0.2500, 0.2500, 0.2500], [0.7500, 0.7500, 0.7500], [0.0000, 0.0000, 0.0000], [0.5000, 0.5000, 0.5000], [0.2433, 0.2433, 0.7567], [0.2433, 0.7567, 0.2433], [0.2433, 0.7567, 0.7567], [0.7567, 0.2433, 0.2433], [0.7567, 0.2433, 0.7567], [0.7567, 0.7567, 0.2433]],
  "sg": "Fm-3m, No. 225",
  "e_form_mev_per_atom": -1954,
  "dft_energy_ev_per_cell": -55.619
}

=====

# 4
{
  "formula": "Sr5Ni2BiO10",
  "functional": "PBE+U",
  "state": "optimized geometry",
  "lattice": [[-2.6724, 2.6724, 9.0629], [2.6724, -2.6724, 9.0629], [2.6724, 2.6724, -9.0629]],
  "species": ["Sr", "Sr", "Sr", "Sr", "Sr", "Ni", "Ni", "Bi", "O", "O", "O", "O", "O", "O", "O", "O", "O", "O"],
  "fractional_positions": [[0.0000, 0.0000, 0.0000], [0.1505, 0.6505, 0.5000], [0.3495, 0.8495, 0.5000], [0.6505, 0.1505, 0.5000], [0.8495, 0.3495, 0.5000], [0.2438, 0.2438, 0.0000], [0.7562, 0.7562, 0.0000], [0.5000, 0.5000, 0.0000], [0.0000, 0.0000, 0.5000], [0.0000, 0.5000, 0.0000], [0.0000, 0.5000, 0.5000], [0.1326, 0.1326, 0.0000], [0.3785, 0.3785, 0.0000], [0.5000, 0.0000, 0.0000], [0.5000, 0.0000, 0.5000], [0.5000, 0.5000, 0.5000], [0.6215, 0.6215, 0.0000], [0.8674, 0.8674, 0.0000]],
  "sg": "I4/mmm, No. 139",
  "e_form_mev_per_atom": -2259,
  "dft_energy_ev_per_cell": -102.093
}

=====

# 5
{
  "formula": "ZnNiBiO5",
  "functional": "PBE+U",
  "state": "optimized geometry",
  "lattice": [[5.3620, 0.0000, 0.0000], [0.0000, 10.4585, 0.0000], [-2.9006, 0.0000, 7.8497]],
  "species": ["Zn", "Zn", "Zn", "Zn", "Ni", "Ni", "Ni", "Ni", "Bi", "Bi", "Bi", "Bi", "O", "O", "O", "O", "O", "O", "O", "O", "O", "O", "O", "O", "O", "O", "O", "O", "O", "O", "O", "O"],
  "fractional_positions": [[0.0303, 0.0913, 0.1728], [0.0303, 0.4087, 0.6728], [0.9697, 0.5913, 0.3272], [0.9697, 0.9087, 0.8272], [0.3715, 0.6148, 0.0569], [0.3715, 0.8852, 0.5569], [0.6285, 0.1148, 0.4431], [0.6285, 0.3852, 0.9431], [0.4766, 0.1040, 0.8427], [0.4766, 0.3960, 0.3427], [0.5234, 0.6040, 0.6573], [0.5234, 0.8960, 0.1573], [0.1937, 0.5312, 0.1816], [0.1937, 0.9688, 0.6816], [0.2071, 0.7197, 0.4934], [0.2071, 0.7803, 0.9934], [0.2532, 0.0443, 0.0051], [0.2532, 0.4557, 0.5051], [0.3206, 0.2071, 0.3104], [0.3206, 0.2929, 0.8104], [0.3463, 0.5443, 0.8423], [0.3463, 0.9557, 0.3423], [0.6537, 0.0443, 0.6577], [0.6537, 0.4557, 0.1577], [0.6794, 0.7071, 0.1896], [0.6794, 0.7929, 0.6896], [0.7468, 0.5443, 0.4949], [0.7468, 0.9557, 0.9949], [0.7929, 0.2197, 0.0066], [0.7929, 0.2803, 0.5066], [0.8063, 0.0312, 0.3184], [0.8063, 0.4688, 0.8184]],
  "e_above_lowest_polymorph_kj_per_mol_fu": 0,
  "sg": "P2_1/c, No. 14",
  "e_form_mev_per_atom": -1185,
  "dft_energy_ev_per_cell": -156.692
}

=====

# 6
{
  "formula": "ZnNiBiO5",
  "functional": "PBE+U",
  "state": "optimized geometry",
  "lattice": [[5.2526, 0.0000, 0.0000], [0.0000, 15.2389, 0.0000], [0.0000, 0.0000, 10.4109]],
  "species": ["Zn", "Zn", "Zn", "Zn", "Zn", "Zn", "Zn", "Zn", "Ni", "Ni", "Ni", "Ni", "Ni", "Ni", "Ni", "Ni", "Bi", "Bi", "Bi", "Bi", "Bi", "Bi", "Bi", "Bi", "O", "O", "O", "O", "O", "O", "O", "O", "O", "O", "O", "O", "O", "O", "O", "O", "O", "O", "O", "O", "O", "O", "O", "O", "O", "O", "O", "O", "O", "O", "O", "O", "O", "O", "O", "O", "O", "O", "O", "O"],
  "fractional_positions": [[0.0268, 0.0366, 0.1368], [0.0268, 0.4634, 0.6368], [0.4732, 0.5366, 0.1368], [0.4732, 0.9634, 0.6368], [0.5268, 0.0366, 0.3632], [0.5268, 0.4634, 0.8632], [0.9732, 0.5366, 0.3632], [0.9732, 0.9634, 0.8632], [0.0332, 0.5922, 0.8794], [0.0332, 0.9078, 0.3794], [0.4668, 0.0922, 0.8794], [0.4668, 0.4078, 0.3794], [0.5332, 0.5922, 0.6206], [0.5332, 0.9078, 0.1206], [0.9668, 0.0922, 0.6206], [0.9668, 0.4078, 0.1206], [0.0474, 0.7354, 0.1440], [0.0474, 0.7646, 0.6440], [0.4526, 0.2354, 0.1440], [0.4526, 0.2646, 0.6440], [0.5474, 0.7354, 0.3560], [0.5474, 0.7646, 0.8560], [0.9526, 0.2354, 0.3560], [0.9526, 0.2646, 0.8560], [0.1309, 0.1569, 0.2005], [0.1309, 0.3431, 0.7005], [0.1642, 0.0186, 0.7193], [0.1642, 0.4814, 0.2193], [0.1771, 0.1765, 0.5160], [0.1771, 0.3235, 0.0160], [0.2198, 0.6861, 0.7992], [0.2198, 0.8139, 0.2992], [0.2238, 0.0331, 0.9732], [0.2238, 0.4669, 0.4732], [0.2762, 0.5331, 0.9732], [0.2762, 0.9669, 0.4732], [0.2802, 0.1861, 0.7992], [0.2802, 0.3139, 0.2992], [0.3229, 0.6765, 0.5160], [0.3229, 0.8235, 0.0160], [0.3358, 0.5186, 0.7193], [0.3358, 0.9814, 0.2193], [0.3691, 0.6569, 0.2005], [0.3691, 0.8431, 0.7005], [0.6309, 0.1569, 0.2995], [0.6309, 0.3431, 0.7995], [0.6642, 0.0186, 0.7807], [0.6642, 0.4814, 0.2807], [0.6771, 0.1765, 0.9840], [0.6771, 0.3235, 0.4840], [0.7198, 0.6861, 0.7008], [0.7198, 0.8139, 0.2008], [0.7238, 0.0331, 0.5268], [0.7238, 0.4669, 0.0268], [0.7762, 0.5331, 0.5268], [0.7762, 0.9669, 0.0268], [0.7802, 0.1861, 0.7008], [0.7802, 0.3139, 0.2008], [0.8229, 0.6765, 0.9840], [0.8229, 0.8235, 0.4840], [0.8358, 0.5186, 0.7807], [0.8358, 0.9814, 0.2807], [0.8691, 0.6569, 0.2995], [0.8691, 0.8431, 0.7995]],
  "e_above_lowest_polymorph_kj_per_mol_fu": 73,
  "sg": "Pbca, No. 61",
  "e_form_mev_per_atom": -1090,
  "dft_energy_ev_per_cell": -307.331
}

=====

# 7
{
  "formula": "V3Bi2P6O24",
  "functional": "PBE+U",
  "state": "optimized geometry",
  "lattice": [[4.3646, 2.5199, 7.2362], [-4.3646, 2.5199, 7.2362], [0.0000, -5.0399, 7.2362]],
  "species": ["V", "V", "V", "Bi", "Bi", "P", "P", "P", "P", "P", "P", "O", "O", "O", "O", "O", "O", "O", "O", "O", "O", "O", "O", "O", "O", "O", "O", "O", "O", "O", "O", "O", "O", "O", "O"],
  "fractional_positions": [[0.0000, 0.0000, 0.0000], [0.2104, 0.2104, 0.2104], [0.6954, 0.6954, 0.6954], [0.3739, 0.3739, 0.3739], [0.8504, 0.8504, 0.8504], [0.0890, 0.8279, 0.3915], [0.2994, 0.5992, 0.8905], [0.3915, 0.0890, 0.8279], [0.5992, 0.8905, 0.2994], [0.8279, 0.3915, 0.0890], [0.8905, 0.2994, 0.5992], [0.0249, 0.8713, 0.2367], [0.0792, 0.2967, 0.4281], [0.1146, 0.7649, 0.9476], [0.1348, 0.9895, 0.3623], [0.2367, 0.0249, 0.8713], [0.2545, 0.6458, 0.4025], [0.2961, 0.5788, 0.7354], [0.2967, 0.4281, 0.0792], [0.3623, 0.1348, 0.9895], [0.4025, 0.2545, 0.6458], [0.4281, 0.0792, 0.2967], [0.4732, 0.6442, 0.8495], [0.5788, 0.7354, 0.2961], [0.5786, 0.9177, 0.8044], [0.6442, 0.8495, 0.4732], [0.6458, 0.4025, 0.2545], [0.7354, 0.2961, 0.5788], [0.7649, 0.9476, 0.1146], [0.8044, 0.5786, 0.9177], [0.8495, 0.4732, 0.6442], [0.8713, 0.2367, 0.0249], [0.9177, 0.8044, 0.5786], [0.9476, 0.1146, 0.7649], [0.9895, 0.3623, 0.1348]],
  "sg": "R3, No. 146",
  "e_form_mev_per_atom": -2451,
  "dft_energy_ev_per_cell": -250.457
}

=====

# 8
{
  "formula": "V5Bi17Pb5O43",
  "functional": "PBE+U",
  "state": "optimized geometry",
  "lattice": [[8.2051, -8.6395, 0.0000], [8.2051, 8.6395, 0.0000], [-8.1921, 0.0000, 8.7438]],
  "species": ["V", "V", "V", "V", "V", "Bi", "Bi", "Bi", "Bi", "Bi", "Bi", "Bi", "Bi", "Bi", "Bi", "Bi", "Bi", "Bi", "Bi", "Bi", "Bi", "Bi", "Pb", "Pb", "Pb", "Pb", "Pb", "O", "O", "O", "O", "O", "O", "O", "O", "O", "O", "O", "O", "O", "O", "O", "O", "O", "O", "O", "O", "O", "O", "O", "O", "O", "O", "O", "O", "O", "O", "O", "O", "O", "O", "O", "O", "O", "O", "O", "O", "O", "O", "O"],
  "fractional_positions": [[0.0000, 0.0000, 0.0000], [0.3623, 0.6673, 0.6836], [0.6673, 0.3623, 0.6836], [0.6774, 0.9876, 0.3267], [0.9876, 0.6774, 0.3267], [0.0165, 0.0165, 0.6793], [0.0175, 0.6735, 0.6723], [0.0272, 0.3419, 0.0088], [0.0269, 0.3771, 0.3779], [0.0352, 0.3744, 0.7304], [0.0500, 0.6904, 0.0142], [0.0532, 0.0532, 0.3829], [0.3419, 0.0272, 0.0088], [0.3507, 0.3507, 0.3324], [0.3744, 0.0352, 0.7304], [0.3771, 0.0269, 0.3779], [0.3808, 0.6588, 0.0238], [0.6526, 0.6526, 0.6238], [0.6588, 0.3808, 0.0238], [0.6735, 0.0175, 0.6723], [0.6770, 0.6770, 0.0214], [0.6904, 0.0500, 0.0142], [0.3516, 0.3516, 0.7017], [0.3563, 0.6865, 0.3506], [0.3567, 0.3567, 0.0325], [0.6773, 0.6773, 0.3453], [0.6865, 0.3563, 0.3506], [0.0071, 0.7601, 0.5041], [0.0251, 0.5286, 0.2782], [0.0475, 0.2333, 0.8205], [0.0669, 0.7807, 0.3034], [0.0831, 0.0831, 0.9599], [0.0838, 0.0838, 0.1955], [0.0851, 0.4955, 0.9808], [0.0889, 0.6078, 0.8352], [0.0921, 0.0921, 0.5929], [0.0928, 0.2700, 0.4953], [0.1946, 0.6073, 0.6277], [0.2325, 0.4085, 0.1737], [0.2333, 0.0475, 0.8205], [0.2572, 0.4399, 0.8478], [0.2621, 0.8028, 0.1789], [0.2700, 0.0928, 0.4953], [0.3783, 0.5569, 0.5373], [0.4082, 0.8248, 0.7206], [0.4085, 0.2325, 0.1737], [0.4374, 0.6221, 0.1975], [0.4399, 0.2572, 0.8478], [0.4591, 0.9364, 0.4995], [0.4715, 0.6690, 0.8492], [0.4955, 0.0851, 0.9808], [0.5064, 0.5064, 0.3862], [0.5286, 0.0251, 0.2782], [0.5371, 0.5371, 0.9987], [0.5569, 0.3783, 0.5373], [0.6073, 0.1946, 0.6277], [0.6078, 0.0889, 0.8352], [0.6151, 0.7909, 0.5555], [0.6221, 0.4374, 0.1975], [0.6226, 0.8070, 0.1898], [0.6690, 0.4715, 0.8492], [0.7601, 0.0071, 0.5041], [0.7807, 0.0669, 0.3034], [0.7909, 0.6151, 0.5555], [0.8028, 0.2621, 0.1789], [0.8070, 0.6226, 0.1898], [0.8248, 0.4082, 0.7206], [0.8304, 0.9978, 0.9176], [0.9364, 0.4591, 0.4995], [0.9978, 0.8304, 0.9176]],
  "sg": "Cm, No. 8",
  "e_form_mev_per_atom": -1830,
  "dft_energy_ev_per_cell": -432.908
}

=====

Copy entry 4 word for word.
{
  "formula": "Sr5Ni2BiO10",
  "functional": "PBE+U",
  "state": "optimized geometry",
  "lattice": [[-2.6724, 2.6724, 9.0629], [2.6724, -2.6724, 9.0629], [2.6724, 2.6724, -9.0629]],
  "species": ["Sr", "Sr", "Sr", "Sr", "Sr", "Ni", "Ni", "Bi", "O", "O", "O", "O", "O", "O", "O", "O", "O", "O"],
  "fractional_positions": [[0.0000, 0.0000, 0.0000], [0.1505, 0.6505, 0.5000], [0.3495, 0.8495, 0.5000], [0.6505, 0.1505, 0.5000], [0.8495, 0.3495, 0.5000], [0.2438, 0.2438, 0.0000], [0.7562, 0.7562, 0.0000], [0.5000, 0.5000, 0.0000], [0.0000, 0.0000, 0.5000], [0.0000, 0.5000, 0.0000], [0.0000, 0.5000, 0.5000], [0.1326, 0.1326, 0.0000], [0.3785, 0.3785, 0.0000], [0.5000, 0.0000, 0.0000], [0.5000, 0.0000, 0.5000], [0.5000, 0.5000, 0.5000], [0.6215, 0.6215, 0.0000], [0.8674, 0.8674, 0.0000]],
  "sg": "I4/mmm, No. 139",
  "e_form_mev_per_atom": -2259,
  "dft_energy_ev_per_cell": -102.093
}